1.
A geometry-optimized Li3Tl structure. Source: the Materials Project, functional r²SCAN.

total magnetization	0.00	μB/f.u.
final energy	-15.356	eV per atom
DFT formation energy	-0.271	eV per atom

```
Li3Tl
1.0
6.6159 0.0000 0.0000
0.0000 6.6159 0.0000
0.0000 0.0000 6.6159
Li Tl
12 4
Cartesian
0.0000 0.0000 0.0000
0.0000 3.3079 3.3079
1.6540 1.6540 1.6540
1.6540 1.6540 4.9619
1.6540 4.9619 1.6540
1.6540 4.9619 4.9619
3.3079 0.0000 3.3079
3.3079 3.3079 0.0000
4.9619 1.6540 1.6540
4.9619 1.6540 4.9619
4.9619 4.9619 1.6540
4.9619 4.9619 4.9619
0.0000 0.0000 3.3079
0.0000 3.3079 0.0000
3.3079 0.0000 0.0000
3.3079 3.3079 3.3079
```

---

2.
A geometry-optimized Yb3Cu4Sn4 structure. Source: the Materials Project, functional r²SCAN.

total magnetization	0.00	μB/f.u.
final energy	-23.418	eV per atom
DFT formation energy	-0.513	eV per atom

```
Yb3Cu4Sn4
1.0
-2.1957 3.4391 7.2352
2.1957 -3.4391 7.2352
2.1957 3.4391 -7.2352
Yb Cu Sn
3 4 4
Cartesian
0.0000 0.0000 0.0000
2.1957 0.0000 5.3397
0.0000 3.4391 1.8955
2.1957 1.2972 -2.4828
2.1957 1.2972 2.4828
0.0000 2.1419 4.7523
0.0000 2.1419 9.7180
0.0000 0.0000 3.1303
2.1957 2.0386 0.0000
0.0000 1.4005 7.2352
0.0000 0.0000 11.3400
```

---

- Which value of final energy does entry 1 give?
  -15.356 eV per atom

---

- What is the DFT formation energy in the second record?
  -0.513 eV per atom